First-principles (GGA-PBE) data for a relaxed TiZnS3O12 crystal, as listed in the Materials Project.

a = 8.6231 Å, b = 8.6231 Å, c = 22.3040 Å
α = 90.00°, β = 90.00°, γ = 120.00°
Last column: nearest neighbours and their distance in Å.
Sites, in units of the cell vectors:
O1 0.3013 0.8314 0.2590  1 S 1.53
O2 0.1826 0.9835 0.9074  1 S 1.45
O3 0.3499 0.8658 0.5741  1 S 1.45
O4 0.0350 0.8296 0.6964  1 S 1.51
O5 0.6346 0.4980 0.9256  1 S 1.53
O6 0.1342 0.6501 0.0741  1 S 1.45
O7 0.1704 0.9650 0.1964  1 S 1.51
O8 0.3683 0.4962 0.3631  1 S 1.51
O9 0.9679 0.8032 0.0923  1 S 1.53
O10 0.5038 0.6317 0.8631  1 S 1.51
O11 0.5301 0.6987 0.2590  1 S 1.53
O12 0.5439 0.6955 0.9709  1 S 1.45
O13 0.6832 0.1507 0.7408  1 S 1.45
O14 0.5020 0.3654 0.4256  1 S 1.53
O15 0.5159 0.6501 0.5741  1 S 1.45
O16 0.4675 0.3168 0.7408  1 S 1.45
O17 0.2105 0.1817 0.8043  1 S 1.45
O18 0.0165 0.8174 0.4074  1 S 1.45
O19 0.1968 0.0321 0.5923  1 S 1.53
O20 0.2105 0.0288 0.3043  1 S 1.45
O21 0.7946 0.9650 0.6964  1 S 1.51
O22 0.9679 0.1647 0.5923  1 S 1.53
O23 0.1686 0.4699 0.2590  1 S 1.53
O24 0.4849 0.1228 0.6376  1 S 1.45
O25 0.8353 0.8032 0.5923  1 S 1.53
O26 0.1342 0.4841 0.5741  1 S 1.45
O27 0.1704 0.2054 0.6964  1 S 1.51
O28 0.6346 0.1366 0.4256  1 S 1.53
O29 0.8009 0.8174 0.9074  1 S 1.45
O30 0.1686 0.6987 0.7590  1 S 1.53
O31 0.0350 0.2054 0.1964  1 S 1.51
O32 0.4612 0.1629 0.5297  1 S 1.51
O33 0.1279 0.4962 0.8631  1 S 1.51
O34 0.3013 0.4699 0.7590  1 S 1.53
O35 0.1516 0.4561 0.9709  1 S 1.45
O36 0.8371 0.2983 0.5297  1 S 1.51
O37 0.8772 0.3621 0.6376  1 S 1.45
O38 0.3045 0.4561 0.4709  1 S 1.45
O39 0.3045 0.8484 0.9709  1 S 1.45
O40 0.4849 0.3621 0.1376  1 S 1.45
O41 0.5301 0.8314 0.7590  1 S 1.53
O42 0.3499 0.4841 0.0741  1 S 1.45
O43 0.5038 0.8721 0.3631  1 S 1.51
O44 0.8371 0.5388 0.0297  1 S 1.51
O45 0.6379 0.1228 0.1376  1 S 1.45
O46 0.8493 0.5325 0.7408  1 S 1.45
O47 0.3683 0.8721 0.8631  1 S 1.51
O48 0.0165 0.1991 0.9074  1 S 1.45
O49 0.8634 0.4980 0.4256  1 S 1.53
O50 0.5159 0.8658 0.0741  1 S 1.45
O51 0.1279 0.6317 0.3631  1 S 1.51
O52 0.9712 0.7895 0.8043  1 S 1.45
O53 0.4612 0.2983 0.0297  1 S 1.51
O54 0.9712 0.1817 0.3043  1 S 1.45
O55 0.8183 0.7895 0.3043  1 S 1.45
O56 0.8009 0.9835 0.4074  1 S 1.45
O57 0.7946 0.8296 0.1964  1 S 1.51
O58 0.8183 0.0288 0.8043  1 S 1.45
O59 0.6832 0.5325 0.2408  1 S 1.45
O60 0.8493 0.3168 0.2408  1 S 1.45
O61 0.1516 0.6955 0.4709  1 S 1.45
O62 0.8634 0.3654 0.9256  1 S 1.53
O63 0.5020 0.1366 0.9256  1 S 1.53
O64 0.7017 0.1629 0.0297  1 S 1.51
O65 0.8353 0.0321 0.0923  1 S 1.53
O66 0.1968 0.1647 0.0923  1 S 1.53
O67 0.7017 0.5388 0.5297  1 S 1.51
O68 0.5439 0.8484 0.4709  1 S 1.45
O69 0.8772 0.5151 0.1376  1 S 1.45
O70 0.1826 0.1991 0.4074  1 S 1.45
O71 0.4675 0.1507 0.2408  1 S 1.45
O72 0.6379 0.5151 0.6376  1 S 1.45
S1 0.2889 0.0007 0.2506  4 O 1.45-1.53
S2 0.3784 0.0444 0.5839  4 O 1.45-1.53
S3 0.9556 0.3340 0.5839  4 O 1.45-1.53
S4 0.3327 0.9549 0.9173  4 O 1.45-1.53
S5 0.3784 0.3340 0.0839  4 O 1.45-1.53
S6 0.0451 0.3778 0.9173  4 O 1.45-1.53
S7 0.9556 0.6216 0.0839  4 O 1.45-1.53
S8 0.6222 0.6673 0.9173  4 O 1.45-1.53
S9 0.3327 0.3778 0.4173  4 O 1.45-1.53
S10 0.2889 0.2882 0.7506  4 O 1.45-1.53
S11 0.6222 0.9549 0.4173  4 O 1.45-1.53
S12 0.7118 0.7111 0.2506  4 O 1.45-1.53
S13 0.9993 0.2882 0.2506  4 O 1.45-1.53
S14 0.6660 0.6216 0.5839  4 O 1.45-1.53
S15 0.6660 0.0444 0.0839  4 O 1.45-1.53
S16 0.7118 0.0007 0.7506  4 O 1.45-1.53
S17 0.0451 0.6673 0.4173  4 O 1.45-1.53
S18 0.9993 0.7111 0.7506  4 O 1.45-1.53
Ti1 0.0000 0.0000 0.1431  6 O 1.94-2.03
Ti2 0.6667 0.3333 0.4764  6 O 1.94-2.03
Ti3 0.0000 0.0000 0.6431  6 O 1.94-2.03
Ti4 0.3333 0.6667 0.8098  6 O 1.94-2.03
Ti5 0.3333 0.6667 0.3098  6 O 1.94-2.03
Ti6 0.6667 0.3333 0.9764  6 O 1.94-2.03
Zn1 0.6667 0.3333 0.1872  6 O 2.03-2.04
Zn2 0.3333 0.6667 0.5205  6 O 2.03-2.04
Zn3 0.3333 0.6667 0.0205  6 O 2.03-2.04
Zn4 0.6667 0.3333 0.6872  6 O 2.03-2.04
Zn5 0.0000 0.0000 0.3539  6 O 2.03-2.04
Zn6 0.0000 0.0000 0.8539  6 O 2.03-2.04

***

First-principles (GGA-PBE) data for a relaxed Tm2S2O crystal, as listed in the Materials Project.

a = 6.7973 Å, b = 6.7979 Å, c = 8.1851 Å
α = 80.49°, β = 90.00°, γ = 90.00°
Last column: nearest neighbours and their distance in Å.
Sites, in units of the cell vectors:
Tm1 0.5533 0.7492 0.8611  1 O 2.22
Tm2 0.4467 0.2508 0.1389  1 O 2.22
Tm3 0.3540 0.1756 0.5749  3 O 2.22-2.26
Tm4 0.8540 0.3244 0.4251  3 O 2.22-2.26
Tm5 0.0533 0.7508 0.1389  1 O 2.22
Tm6 0.6460 0.8244 0.4251  3 O 2.22-2.26
Tm7 0.9467 0.2492 0.8611  1 O 2.22
Tm8 0.1460 0.6756 0.5749  3 O 2.22-2.26
S1 0.2774 0.0305 0.9253  5 Tm 2.70-2.92
S2 0.7774 0.4695 0.0747  5 Tm 2.70-2.92
S3 0.7226 0.9695 0.0747  5 Tm 2.70-2.92
S4 0.8690 0.9190 0.6816  4 Tm 2.74-2.93
S5 0.1310 0.0810 0.3184  4 Tm 2.74-2.93
S6 0.2226 0.5305 0.9253  5 Tm 2.70-2.92
S7 0.6310 0.4190 0.6816  4 Tm 2.74-2.93
S8 0.3690 0.5810 0.3184  4 Tm 2.74-2.93
O1 0.5870 0.1500 0.3833  4 Tm 2.22-2.26
O2 0.9130 0.6500 0.3833  4 Tm 2.22-2.26
O3 0.0870 0.3500 0.6167  4 Tm 2.22-2.26
O4 0.4130 0.8500 0.6167  4 Tm 2.22-2.26

***

First-principles (GGA-PBE) data for a relaxed US2O8 crystal, as listed in the Materials Project.

a = 9.0664 Å, b = 9.5256 Å, c = 13.6667 Å
α = 90.00°, β = 90.00°, γ = 90.00°
Last column: nearest neighbours and their distance in Å.
Sites, in units of the cell vectors:
O1 0.2537 0.5096 0.2734  1 S 1.49
O2 0.2791 0.7522 0.8203  1 S 1.49
O3 0.2209 0.7522 0.3203  1 S 1.49
O4 0.4187 0.1227 0.8811  1 S 1.49
O5 0.6006 0.1772 0.4904  1 S 1.49
O6 0.9825 0.4145 0.6642  1 S 1.49
O7 0.0175 0.0855 0.1642  1 S 1.49
O8 0.9165 0.6427 0.9812  1 S 1.48
O9 0.1006 0.8228 0.0096  1 S 1.49
O10 0.8936 0.8051 0.1193  1 S 1.48
O11 0.2791 0.2522 0.6797  1 S 1.49
O12 0.6064 0.8051 0.6193  1 S 1.48
O13 0.7463 0.9904 0.7734  1 S 1.49
O14 0.4165 0.8573 0.9812  1 S 1.48
O15 0.2537 0.0096 0.2266  1 S 1.49
O16 0.3936 0.1949 0.3807  1 S 1.48
O17 0.0813 0.1227 0.3811  1 S 1.49
O18 0.7209 0.2478 0.1797  1 S 1.49
O19 0.7209 0.7478 0.3203  1 S 1.49
O20 0.6006 0.6772 0.0096  1 S 1.49
O21 0.3994 0.3228 0.9904  1 S 1.49
O22 0.9165 0.1427 0.5188  1 S 1.48
O23 0.1064 0.1949 0.8807  1 S 1.48
O24 0.9825 0.9145 0.8358  1 S 1.49
O25 0.4825 0.5855 0.8358  1 S 1.49
O26 0.6064 0.3051 0.8807  1 S 1.48
O27 0.7791 0.7478 0.8203  1 S 1.49
O28 0.7537 0.4904 0.2266  1 S 1.49
O29 0.5835 0.1427 0.0188  1 S 1.48
O30 0.0835 0.3573 0.0188  1 S 1.48
O31 0.7288 0.4270 0.0547  1 S 1.48
O32 0.9187 0.3773 0.8811  1 S 1.49
O33 0.7537 0.9904 0.2734  1 S 1.49
O34 0.2209 0.2522 0.1797  1 S 1.49
O35 0.5813 0.3773 0.3811  1 S 1.49
O36 0.8994 0.1772 0.9904  1 S 1.49
O37 0.0835 0.8573 0.4812  1 S 1.48
O38 0.9187 0.8773 0.6189  1 S 1.49
O39 0.5175 0.4145 0.1642  1 S 1.49
O40 0.0175 0.5855 0.3358  1 S 1.49
O41 0.0813 0.6227 0.1189  1 S 1.49
O42 0.5813 0.8773 0.1189  1 S 1.49
O43 0.7791 0.2478 0.6797  1 S 1.49
O44 0.2463 0.0096 0.7266  1 S 1.49
O45 0.3994 0.8228 0.5096  1 S 1.49
O46 0.2288 0.5730 0.4453  1 S 1.48
O47 0.1064 0.6949 0.6193  1 S 1.48
O48 0.7463 0.4904 0.7266  1 S 1.49
O49 0.7712 0.9270 0.9453  1 S 1.48
O50 0.4825 0.0855 0.6642  1 S 1.49
O51 0.7712 0.4270 0.5547  1 S 1.48
O52 0.7288 0.9270 0.4453  1 S 1.48
O53 0.5175 0.9145 0.3358  1 S 1.49
O54 0.8994 0.6772 0.5096  1 S 1.49
O55 0.2712 0.5730 0.9453  1 S 1.48
O56 0.2712 0.0730 0.5547  1 S 1.48
O57 0.5835 0.6427 0.4812  1 S 1.48
O58 0.8936 0.3051 0.3807  1 S 1.48
O59 0.2288 0.0730 0.0547  1 S 1.48
O60 0.4187 0.6227 0.6189  1 S 1.49
O61 0.1006 0.3228 0.4904  1 S 1.49
O62 0.3936 0.6949 0.1193  1 S 1.48
O63 0.4165 0.3573 0.5188  1 S 1.48
O64 0.2463 0.5096 0.7734  1 S 1.49
U1 0.7192 0.0355 0.6040  8 O 2.32-2.43
U2 0.7808 0.5355 0.3960  8 O 2.32-2.43
U3 0.7192 0.5355 0.8960  8 O 2.32-2.43
U4 0.2808 0.4645 0.1040  8 O 2.32-2.43
U5 0.2808 0.9645 0.3960  8 O 2.32-2.43
U6 0.7808 0.0355 0.1040  8 O 2.32-2.43
U7 0.2192 0.4645 0.6040  8 O 2.32-2.43
U8 0.2192 0.9645 0.8960  8 O 2.32-2.43
S1 0.0036 0.7771 0.5573  4 O 1.48-1.49
S2 0.1797 0.1043 0.1555  4 O 1.48-1.49
S3 0.6797 0.3957 0.1555  4 O 1.48-1.49
S4 0.4964 0.7771 0.0573  4 O 1.48-1.49
S5 0.5036 0.7229 0.5573  4 O 1.48-1.49
S6 0.5036 0.2229 0.9427  4 O 1.48-1.49
S7 0.3203 0.1043 0.6555  4 O 1.48-1.49
S8 0.9964 0.2229 0.4427  4 O 1.48-1.49
S9 0.1797 0.6043 0.3445  4 O 1.48-1.49
S10 0.0036 0.2771 0.9427  4 O 1.48-1.49
S11 0.9964 0.7229 0.0573  4 O 1.48-1.49
S12 0.8203 0.8957 0.8445  4 O 1.48-1.49
S13 0.8203 0.3957 0.6555  4 O 1.48-1.49
S14 0.6797 0.8957 0.3445  4 O 1.48-1.49
S15 0.4964 0.2771 0.4427  4 O 1.48-1.49
S16 0.3203 0.6043 0.8445  4 O 1.48-1.49

***

First-principles (GGA-PBE) data for a relaxed USO6 crystal, as listed in the Materials Project.

Summary:
Offset from the most stable computed form = 0.00 kcal/mol of atoms

a = 6.0186 Å, b = 6.8268 Å, c = 12.9657 Å
α = 76.74°, β = 90.00°, γ = 90.00°
Last column: nearest neighbours and their distance in Å.
Sites, in units of the cell vectors:
O1 0.3450 0.9804 0.8566  1 S 1.48
O2 0.5033 0.2466 0.4061  1 U 1.79
O3 0.7930 0.3798 0.5992  1 S 1.49
O4 0.5142 0.4098 0.7690  1 U 1.84
O5 0.9452 0.7746 0.4999  1 S 1.48
O6 0.8450 0.0196 0.6434  1 S 1.48
O7 0.4858 0.5902 0.2310  1 U 1.84
O8 0.4967 0.7534 0.5939  1 U 1.79
O9 0.1388 0.2354 0.6810  1 S 1.49
O10 0.6388 0.7646 0.8190  1 S 1.49
O11 0.2070 0.6202 0.4008  1 S 1.49
O12 0.7070 0.3798 0.0992  1 S 1.49
O13 0.3612 0.2354 0.1810  1 S 1.49
O14 0.1550 0.9804 0.3566  1 S 1.48
O15 0.5548 0.7746 0.9999  1 S 1.48
O16 0.0142 0.5902 0.7310  1 U 1.84
O17 0.2930 0.6202 0.9008  1 S 1.49
O18 0.8612 0.7646 0.3190  1 S 1.49
O19 0.6550 0.0196 0.1434  1 S 1.48
O20 0.0033 0.7534 0.0939  1 U 1.79
O21 0.9858 0.4098 0.2690  1 U 1.84
O22 0.9967 0.2466 0.9061  1 U 1.79
O23 0.0548 0.2254 0.5001  1 S 1.48
O24 0.4452 0.2254 0.0001  1 S 1.48
U1 0.7465 0.6782 0.1607  2 O 1.79-1.84
U2 0.7535 0.6782 0.6607  2 O 1.79-1.84
U3 0.2535 0.3218 0.8393  2 O 1.79-1.84
U4 0.2465 0.3218 0.3393  2 O 1.79-1.84
S1 0.0418 0.7852 0.3939  4 O 1.48-1.49
S2 0.4582 0.7852 0.8939  4 O 1.48-1.49
S3 0.9582 0.2148 0.6061  4 O 1.48-1.49
S4 0.5418 0.2148 0.1061  4 O 1.48-1.49

***

Ordered final energy results: -6.39; -7.07; -7.23; -7.86; unit eV/atom.